(1)
SrCaZr2O6 after structural relaxation, computed with PBE.

The structure in extended XYZ format:
```
10
Lattice="-0.575 -1.017 4.039 1.276 5.413 1.544 -5.563 1.479 -0.420" Properties=species:S:1:pos:R:3 pbc="T T T"
O -3.365 2.744 0.211
O -0.923 4.148 0.913
O -3.069 0.231 1.809
O -3.504 5.632 0.919
O 0.350 2.198 2.791
O -0.784 1.260 0.205
Ca -2.431 2.938 2.581
Sr -0.288 -0.508 2.019
Zr 0.638 2.707 0.772
Zr -2.782 0.739 -0.210
```

Calculated values
Space group: No. 65
Volume (Å³ per atom): 14.01
DFT total energy (eV/cell): -82.461



(2)
TmGa2Ni after structural relaxation, computed with PBE.

The structure in extended XYZ format:
```
8
Lattice="2.053 -4.976 0.000 2.053 4.976 0.000 0.000 0.000 6.652" Properties=species:S:1:pos:R:3 pbc="T T T"
Ga 2.053 3.563 6.296
Ga 2.053 -3.563 2.970
Ga 2.053 -3.563 0.355
Ga 2.053 3.563 3.681
Tm 2.053 0.717 4.989
Tm 2.053 -0.717 1.663
Ni 2.053 -2.104 4.989
Ni 2.053 2.104 1.663
```

Calculated values
Space group: No. 63
Volume (Å³ per atom): 16.99
DFT total energy (eV/cell): -37.882



(3)
Te4Pb5Se after structural relaxation, computed with PBE.

The structure in extended XYZ format:
```
10
Lattice="-6.217 14.806 4.945 -3.640 16.384 -0.796 2.114 -16.291 -3.529" Properties=species:S:1:pos:R:3 pbc="T T T"
Pb 0.000 0.000 0.000
Pb -1.972 6.241 0.830
Pb -5.891 18.640 2.480
Pb -3.966 12.550 1.669
Pb -7.885 24.949 3.319
Te -8.874 28.079 3.735
Te -0.983 3.111 0.414
Te -2.963 9.374 1.247
Te -6.895 21.816 2.902
Se -4.929 15.595 2.074
```

Calculated values
Space group: No. 139
Volume (Å³ per atom): 34.69
DFT total energy (eV/cell): -38.798



(4)
Na2LaSiO5 after structural relaxation, computed with PBE.

The structure in extended XYZ format:
```
36
Lattice="-2.566 -2.645 5.655 4.737 -5.849 -0.586 6.519 4.759 5.184" Properties=species:S:1:pos:R:3 pbc="T T T"
Si 6.237 1.982 6.309
Si 5.370 -3.690 7.291
Si 3.320 -0.045 2.962
Si 2.453 -5.717 3.944
O 1.895 -1.698 7.946
O 7.672 1.503 5.634
O 6.298 -4.540 6.213
O 2.365 -5.623 2.294
O 7.456 -1.761 4.899
O 4.286 0.192 8.402
O 1.018 -5.238 4.618
O 6.316 -3.041 8.460
O 4.054 -1.247 3.834
O 6.794 -2.037 2.307
O 6.010 3.555 5.840
O 2.373 -0.694 1.793
O 2.391 0.805 4.040
O 5.012 1.046 5.752
O 3.677 -4.781 4.501
O 4.636 -2.488 6.419
O 2.680 -7.290 4.413
O 4.404 -3.927 1.851
O 1.233 -1.974 5.354
O 6.325 1.888 7.958
Na 4.517 -6.377 6.103
Na 4.173 2.642 4.149
Na 2.336 -2.929 2.698
Na 6.229 0.103 3.895
Na 6.353 -0.806 7.555
Na 0.280 -0.390 2.952
Na 8.409 -3.345 7.300
Na 2.461 -3.838 6.358
La 5.535 -3.235 4.091
La 9.482 -0.148 5.169
La -0.792 -3.587 5.084
La 3.154 -0.499 6.162
```

Calculated values
Space group: No. 62
Volume (Å³ per atom): 13.58
DFT total energy (eV/cell): -239.492



(5)
Y4MgBi4O12 after structural relaxation, computed with PBE.

The structure in extended XYZ format:
```
21
Lattice="5.958 0.126 0.000 0.133 6.398 0.000 0.000 0.000 8.773" Properties=species:S:1:pos:R:3 pbc="T T T"
Y 5.884 6.495 6.579
Y 3.372 4.136 2.193
Y 5.791 0.336 2.193
Y 3.228 3.382 6.579
O 2.317 4.078 8.509
O 2.317 4.078 4.650
O 0.705 0.731 8.437
O 4.987 5.113 3.505
O 4.227 2.105 0.925
O 0.705 0.731 4.722
O 1.167 2.561 2.193
O 4.013 1.377 6.579
O 4.987 5.113 0.881
O 4.227 2.105 3.461
O 5.077 4.455 6.579
O 2.119 6.010 2.193
Bi 2.863 6.265 4.921
Bi 0.066 3.128 0.175
Bi 2.863 6.265 8.238
Bi 0.066 3.128 4.211
Mg 2.830 1.377 2.193
```

Calculated values
Space group: No. 6
Volume (Å³ per atom): 15.92
DFT total energy (eV/cell): -147.212



(6)
Sm5P12Ru19 after structural relaxation, computed with PBE.

The structure in extended XYZ format:
```
36
Lattice="-6.301 8.964 -6.201 -5.931 -10.491 3.641 -0.947 1.745 3.485" Properties=species:S:1:pos:R:3 pbc="T T T"
P -7.517 5.097 -2.287
P -4.374 -2.600 2.421
P -7.887 -1.715 1.023
P -7.323 -5.087 2.865
P -4.578 -0.572 -0.958
P -1.175 1.671 -1.156
P -4.487 3.357 -0.592
P -3.712 -6.565 2.278
P -7.950 1.601 -0.654
P -1.106 -1.956 0.679
P -9.952 -1.242 -2.083
P -3.943 5.610 -3.880
Ru -5.693 -0.999 1.261
Ru -5.022 -4.657 3.275
Ru -8.707 -2.888 -0.921
Ru -6.283 5.283 -4.353
Ru -2.263 3.419 -0.019
Ru -2.641 -4.671 1.621
Ru -2.805 3.991 -2.761
Ru -6.786 -0.847 -1.420
Ru -6.053 -6.823 1.771
Ru -8.775 0.705 -2.738
Ru -3.475 1.449 -1.670
Ru -3.404 -2.308 0.230
Ru 0.000 0.000 0.000
Ru -5.740 1.435 0.030
Ru -9.231 -0.221 -0.090
Ru -5.210 5.243 -1.733
Ru -2.159 -2.108 2.777
Ru -9.004 3.377 -1.830
Ru -8.869 -3.745 1.773
Sm -6.178 2.479 -2.920
Sm -6.055 -4.006 0.360
Sm -5.614 8.186 -3.317
Sm -5.313 -7.687 4.713
Sm -2.726 0.591 1.271
```

Calculated values
Space group: No. 189
Volume (Å³ per atom): 15.29
DFT total energy (eV/cell): -295.310



(7)
Ta6Al8O27F after structural relaxation, computed with PBE.

The structure in extended XYZ format:
```
42
Lattice="5.490 3.695 3.390 2.583 -6.428 -5.331 -0.739 1.492 -8.578" Properties=species:S:1:pos:R:3 pbc="T T T"
Ta 1.127 1.803 -6.452
Ta 4.419 -0.523 -2.519
Ta 1.368 -1.555 -1.961
Ta 2.790 -2.135 -4.842
Ta 5.339 -2.966 -9.481
Ta 2.305 -4.011 -8.883
Al 3.063 -0.612 -8.056
Al 2.206 1.815 -1.065
Al 5.984 2.242 -3.975
Al 5.864 0.401 -8.431
Al 6.100 -3.164 -4.233
Al 4.921 2.817 -1.427
Al 4.436 0.864 -5.836
Al 2.161 -5.413 -5.752
O 3.511 -2.273 -8.868
O 0.224 0.050 -6.239
O 1.363 -0.469 -8.737
O 1.074 -1.301 -3.951
O 3.808 -0.383 -4.543
O 7.096 -2.107 -5.678
O 5.284 3.132 1.918
O 2.587 0.152 -1.921
O 1.313 0.818 0.357
O 4.064 0.424 -9.255
O 1.504 1.828 -4.420
O 3.171 -2.145 -2.801
O 4.711 -2.871 -11.481
O 3.100 2.906 -2.332
O 3.846 1.936 -0.177
O 4.473 -3.006 -5.176
O 4.283 2.374 -4.800
O 2.253 -1.638 -6.623
O 6.100 -1.199 -9.494
O 1.976 -3.770 -10.910
O 2.833 0.906 -6.816
O 1.882 -3.892 -4.653
O 5.182 1.244 -2.560
O 6.196 0.660 -5.048
O 5.940 -1.617 -3.181
O 3.059 -4.434 -7.103
O 5.416 1.803 -7.272
F 4.799 -0.612 -7.100
```

Calculated values
Space group: No. 1
Volume (Å³ per atom): 10.47
DFT total energy (eV/cell): -357.808



(8)
Ag7AsS6 after structural relaxation, computed with PBE.

The structure in extended XYZ format:
```
56
Lattice="-10.273 -2.797 -0.042 1.516 -5.703 8.862 -2.351 8.545 5.901" Properties=species:S:1:pos:R:3 pbc="T T T"
S 0.076 -1.589 11.396
S -6.045 -2.825 3.943
S -0.275 -4.406 8.498
S -3.096 1.694 11.017
S -5.866 0.024 7.775
S -7.618 2.267 10.664
S -5.389 4.171 8.518
S -1.144 -0.685 7.635
S -3.068 6.471 6.358
S -3.525 -2.767 9.946
S -9.234 2.798 6.382
S -3.277 -3.592 6.138
S -7.090 6.824 5.965
S -9.577 -0.790 9.195
S -9.335 -5.169 4.307
S -2.948 0.012 3.907
S -5.066 3.559 4.663
S -9.256 -1.331 5.617
S -6.938 -4.415 8.136
S -2.067 2.757 7.031
S -9.811 0.039 13.003
S -6.487 -1.382 11.529
S -9.195 -2.015 1.761
S -7.060 0.885 3.270
Ag -8.648 1.500 8.483
Ag -2.962 0.284 13.124
Ag -1.428 -2.008 5.203
Ag -5.072 -5.926 8.533
Ag -0.457 0.485 3.793
Ag -11.560 2.266 7.925
Ag -3.085 1.432 1.808
Ag -2.429 -1.894 2.312
Ag -9.765 4.700 7.977
Ag -7.521 -3.128 6.028
Ag -9.427 -4.896 8.261
Ag -10.479 2.054 4.429
Ag -2.412 2.749 4.446
Ag -7.381 0.711 5.853
Ag -4.413 0.018 5.849
Ag -7.781 -4.943 10.798
Ag -5.210 -0.705 2.345
Ag -7.522 -2.260 9.344
Ag -4.069 1.727 8.348
Ag -8.938 5.313 5.093
Ag -6.848 3.653 6.516
Ag -5.484 0.847 10.872
Ag -0.417 0.900 11.535
Ag -2.250 3.943 10.632
Ag -4.681 2.773 13.113
Ag -7.741 -6.144 6.030
Ag -5.028 -2.372 7.637
Ag -2.498 -0.457 9.810
As -10.627 -1.427 7.353
As -0.050 0.000 0.066
As -4.767 -2.753 11.779
As -6.771 4.269 10.245
```

Calculated values
Space group: No. 198
Volume (Å³ per atom): 21.55
DFT total energy (eV/cell): -200.913